Entry 1:
Material: Mn3F10
Method: DFT, PBE+U
State: optimized geometry

Results
uncorrected energy = -5.3941 eV per atom
E_form = -2.547 eV per atom
magnetization = 22.0 Bohr magnetons per cell
symmetry = P-1 (2)

a b c (Å): 6.278 7.673 9.704
angles (deg): 110.95 108.63 92.04
Atoms (fractional coordinates):
1 Mn 0.922 0.517 0.837
2 Mn 0.810 0.978 0.622
3 Mn 0.257 0.992 0.997
4 Mn 0.190 0.022 0.378
5 Mn 0.078 0.483 0.163
6 Mn 0.743 0.008 0.003
7 F 0.335 0.021 0.207
8 F 0.348 0.464 0.277
9 F 0.991 0.796 0.949
10 F 0.870 0.256 0.742
11 F 0.500 0.181 0.044
12 F 0.763 0.730 0.536
13 F 0.922 0.460 0.278
14 F 0.125 0.983 0.792
15 F 0.193 0.502 0.001
16 F 0.000 0.000 0.500
17 F 0.875 0.017 0.208
18 F 0.078 0.540 0.722
19 F 0.237 0.270 0.464
20 F 0.500 0.819 0.956
21 F 0.130 0.744 0.258
22 F 0.009 0.204 0.051
23 F 0.652 0.536 0.723
24 F 0.500 0.000 0.500
25 F 0.807 0.498 0.999
26 F 0.665 0.979 0.793



Entry 2:
Material: MnF3
Method: DFT, PBE+U
State: optimized geometry

Results
uncorrected energy = -5.7215 eV per atom
E_form = -2.759 eV per atom
magnetization = 8.0 Bohr magnetons per cell
symmetry = Pbam (55)

a b c (Å): 3.871 5.403 5.595
angles (deg): 90.00 90.00 90.00
Atoms (fractional coordinates):
1 Mn 0.500 0.500 0.000
2 Mn 0.500 0.000 0.500
3 F 0.000 0.500 0.000
4 F 0.500 0.281 0.310
5 F 0.500 0.219 0.810
6 F 0.000 0.000 0.500
7 F 0.500 0.781 0.190
8 F 0.500 0.719 0.690



Entry 3:
Material: MnF4
Method: DFT, PBE+U
State: optimized geometry

Results
uncorrected energy = -5.0568 eV per atom
E_form = -2.396 eV per atom
symmetry = I4_1/a (88)

a b c (Å): 9.629 9.629 9.629
angles (deg): 96.14 96.14 141.84
Atoms (fractional coordinates):
1 Mn 0.243 0.493 0.011
2 Mn 0.482 0.993 0.250
3 Mn 0.743 0.233 0.750
4 Mn 0.483 0.232 0.989
5 Mn 0.007 0.257 0.489
6 Mn 0.768 0.757 0.250
7 Mn 0.507 0.517 0.750
8 Mn 0.767 0.518 0.511
9 F 0.435 0.542 0.159
10 F 0.526 0.185 0.393
11 F 0.792 0.133 0.607
12 F 0.383 0.276 0.841
13 F 0.815 0.208 0.341
14 F 0.724 0.565 0.107
15 F 0.458 0.617 0.893
16 F 0.867 0.474 0.659
17 F 0.637 0.536 0.365
18 F 0.522 0.387 0.602
19 F 0.786 0.920 0.398
20 F 0.170 0.272 0.635
21 F 0.613 0.214 0.135
22 F 0.728 0.363 0.898
23 F 0.464 0.830 0.102
24 F 0.080 0.478 0.865
25 F 0.069 0.209 0.920
26 F 0.398 0.819 0.360
27 F 0.459 0.038 0.640
28 F 0.288 0.148 0.080
29 F 0.181 0.541 0.580
30 F 0.852 0.931 0.140
31 F 0.791 0.712 0.860
32 F 0.962 0.602 0.420
33 F 0.065 0.407 0.119
34 F 0.196 0.815 0.159
35 F 0.657 0.037 0.841
36 F 0.287 0.946 0.881
37 F 0.185 0.343 0.381
38 F 0.054 0.935 0.341
39 F 0.593 0.713 0.659
40 F 0.963 0.804 0.619



Entry 4:
Material: MnF3
Method: DFT, PBE+U
State: optimized geometry

Results
uncorrected energy = -5.7272 eV per atom
E_form = -2.764 eV per atom
magnetization = 8.0 Bohr magnetons per cell
symmetry = C2/c (15)

a b c (Å): 5.341 5.341 5.468
angles (deg): 61.32 61.32 61.85
Atoms (fractional coordinates):
1 Mn 0.000 0.500 0.000
2 Mn 0.500 0.000 0.500
3 F 0.674 0.326 0.250
4 F 0.326 0.674 0.750
5 F 0.839 0.738 0.235
6 F 0.262 0.161 0.265
7 F 0.161 0.262 0.765
8 F 0.738 0.839 0.735